Ho3In (PBE-GGA, relaxed); E_form = -257 meV/atom; volume = 28.07 Å³/atom; energy above the most stable polymorph in this dataset = 0.000 eV/atom
1.0
-4.3859 1.9823 0.3321
-1.1092 -1.7223 -4.3680
-1.6762 -4.0472 2.0215
Ho In
3 1
Direct
0.5000 0.0000 0.5000
0.5000 0.5000 0.0000
0.0000 0.5000 0.5000
0.0000 0.0000 0.0000